# 1
First-principles (PBE with a Hubbard U) data for an optimized crystal structure of Li5NiOF5, as listed in the Materials Project database.

E = -116.0 eV per cell
Relative energy among the computed polymorphs = 0.000 eV/atom
Calculated density = 3.24 g cm⁻³

```
Li5NiOF5
1.0
-2.6854 0.3095 -1.0672
-0.1492 -5.6696 -1.2690
-4.7314 -2.3852 11.2131
Li F Ni O
10 10 2 2
Direct
0.0001 0.0000 0.6625 Li
0.0001 0.5000 0.6625 Li
0.5000 0.2500 0.1693 Li
0.5000 0.7500 0.1693 Li
0.0001 0.5000 0.3375 Li
0.5000 0.7500 0.8307 Li
0.0001 0.0000 0.3375 Li
0.5001 0.2500 0.5000 Li
0.5000 0.2500 0.8307 Li
0.5001 0.7500 0.5000 Li
0.5001 0.2500 0.3363 F
0.0000 0.0000 0.5000 F
0.0000 0.0000 0.8254 F
0.0000 0.5000 0.5000 F
0.5000 0.2500 0.6637 F
0.0000 0.0000 0.1746 F
0.5001 0.7501 0.3363 F
0.0000 0.5000 0.8254 F
0.0000 0.5000 0.1746 F
0.5000 0.7500 0.6637 F
0.9998 0.4998 0.0000 Ni
0.9998 0.9998 0.0000 Ni
0.4998 0.7498 0.0000 O
0.4998 0.2498 0.0000 O
```

# 2
First-principles (PBE with a Hubbard U) data for an optimized crystal structure of Mn2O3F, as listed in the Materials Project database.

E = -165.6 eV per cell
Relative energy among the computed polymorphs = 0.013 eV/atom
Calculated density = 4.67 g cm⁻³
Space-group type = No. 12

```
Mn2O3F
1.0
4.5788 -3.0098 0.0000
4.5788 3.0098 0.0000
-4.1973 0.0000 9.1302
Mn O F
8 12 4
Direct
0.0000 0.0000 0.0000 Mn
0.1196 0.6303 0.2516 Mn
0.2708 0.2708 0.5143 Mn
0.3697 0.8804 0.7484 Mn
0.5000 0.5000 0.0000 Mn
0.6303 0.1196 0.2516 Mn
0.7292 0.7292 0.4857 Mn
0.8804 0.3697 0.7484 Mn
0.0455 0.5452 0.4036 O
0.1997 0.7056 0.0971 O
0.2666 0.2666 0.8454 O
0.2944 0.8003 0.9029 O
0.4548 0.9545 0.5964 O
0.4878 0.4878 0.6556 O
0.5122 0.5122 0.3444 O
0.5452 0.0455 0.4036 O
0.7056 0.1997 0.0971 O
0.7334 0.7334 0.1546 O
0.8003 0.2944 0.9029 O
0.9545 0.4548 0.5964 O
0.0420 0.0420 0.3626 F
0.2142 0.2142 0.1420 F
0.7858 0.7858 0.8580 F
0.9580 0.9580 0.6374 F
```

# 3
First-principles (PBE with a Hubbard U) data for an optimized crystal structure of CrFe3Co2P6O24, as listed in the Materials Project database.

E = -252.7 eV per cell
Calculated density = 3.44 g cm⁻³
Space-group type = No. 146

```
CrFe3Co2P6O24
1.0
4.3225 2.4956 6.7738
-4.3225 2.4956 6.7738
0.0000 -4.9912 6.7738
Cr Fe Co P O
1 3 2 6 24
Direct
0.0000 0.0000 0.0000 Cr
0.2866 0.2866 0.2866 Fe
0.4963 0.4963 0.4963 Fe
0.7863 0.7863 0.7863 Fe
0.1434 0.1434 0.1434 Co
0.6414 0.6414 0.6414 Co
0.0934 0.6886 0.3903 P
0.1871 0.5978 0.8914 P
0.3903 0.0934 0.6886 P
0.5978 0.8914 0.1871 P
0.6886 0.3903 0.0934 P
0.8914 0.1871 0.5978 P
0.0329 0.6382 0.8186 O
0.0472 0.2020 0.3957 O
0.0785 0.8904 0.2333 O
0.1362 0.5335 0.3177 O
0.1445 0.7545 0.9623 O
0.2020 0.3957 0.0472 O
0.2333 0.0785 0.8904 O
0.2495 0.6492 0.4605 O
0.3177 0.1362 0.5335 O
0.3894 0.5827 0.7365 O
0.3957 0.0472 0.2020 O
0.4605 0.2495 0.6492 O
0.5335 0.3177 0.1362 O
0.5456 0.8920 0.7040 O
0.5827 0.7365 0.3894 O
0.6382 0.8186 0.0329 O
0.6492 0.4605 0.2495 O
0.7040 0.5456 0.8920 O
0.7365 0.3894 0.5827 O
0.7545 0.9623 0.1445 O
0.8186 0.0329 0.6382 O
0.8904 0.2333 0.0785 O
0.8920 0.7040 0.5456 O
0.9623 0.1445 0.7545 O
```

# 4
First-principles (PBE with a Hubbard U) data for an optimized crystal structure of YMg30FeO32, as listed in the Materials Project database.

E = -387.2 eV per cell
Calculated density = 3.63 g cm⁻³
Space-group type = No. 123

```
YMg30FeO32
1.0
8.5799 0.0000 0.0000
0.0000 8.5799 0.0000
0.0000 0.0000 8.6231
Y Mg Fe O
1 30 1 32
Direct
0.0000 0.0000 0.0000 Y
0.0000 0.2530 0.2592 Mg
0.0000 0.2530 0.7408 Mg
0.0000 0.5000 0.0000 Mg
0.0000 0.5000 0.5000 Mg
0.0000 0.7470 0.2592 Mg
0.0000 0.7470 0.7408 Mg
0.2495 0.2495 0.5000 Mg
0.2500 0.5000 0.2515 Mg
0.2500 0.5000 0.7485 Mg
0.2495 0.7505 0.5000 Mg
0.2530 0.0000 0.2592 Mg
0.2530 0.0000 0.7408 Mg
0.2557 0.2557 0.0000 Mg
0.2557 0.7443 0.0000 Mg
0.5000 0.0000 0.0000 Mg
0.5000 0.0000 0.5000 Mg
0.5000 0.2500 0.2515 Mg
0.5000 0.2500 0.7485 Mg
0.5000 0.5000 0.0000 Mg
0.5000 0.5000 0.5000 Mg
0.5000 0.7500 0.2515 Mg
0.5000 0.7500 0.7485 Mg
0.7443 0.2557 0.0000 Mg
0.7443 0.7443 0.0000 Mg
0.7470 0.0000 0.2592 Mg
0.7470 0.0000 0.7408 Mg
0.7505 0.2495 0.5000 Mg
0.7500 0.5000 0.2515 Mg
0.7500 0.5000 0.7485 Mg
0.7505 0.7505 0.5000 Mg
0.0000 0.0000 0.5000 Fe
0.0000 0.0000 0.2499 O
0.0000 0.0000 0.7501 O
0.0000 0.2606 0.0000 O
0.0000 0.2640 0.5000 O
0.0000 0.5000 0.2493 O
0.0000 0.5000 0.7507 O
0.0000 0.7360 0.5000 O
0.0000 0.7394 0.0000 O
0.2496 0.2496 0.2495 O
0.2496 0.2496 0.7505 O
0.2496 0.7504 0.2495 O
0.2496 0.7504 0.7505 O
0.2520 0.5000 0.0000 O
0.2520 0.5000 0.5000 O
0.2606 0.0000 0.0000 O
0.2640 0.0000 0.5000 O
0.5000 0.0000 0.2493 O
0.5000 0.0000 0.7507 O
0.5000 0.2520 0.0000 O
0.5000 0.2520 0.5000 O
0.5000 0.5000 0.2494 O
0.5000 0.5000 0.7506 O
0.5000 0.7480 0.0000 O
0.5000 0.7480 0.5000 O
0.7360 0.0000 0.5000 O
0.7394 0.0000 0.0000 O
0.7480 0.5000 0.0000 O
0.7480 0.5000 0.5000 O
0.7504 0.2496 0.2495 O
0.7504 0.2496 0.7505 O
0.7504 0.7504 0.2495 O
0.7504 0.7504 0.7505 O
```

# 5
First-principles (PBE with a Hubbard U) data for an optimized crystal structure of Na4MgNi5O10, as listed in the Materials Project database.

E = -94.3 eV per cell
Relative energy among the computed polymorphs = 0.000 eV/atom
Calculated density = 4.73 g cm⁻³
Space-group type = No. 2

```
Na4MgNi5O10
1.0
5.1973 0.0000 0.0000
-1.6822 5.8774 0.0000
-1.0717 -2.1518 6.5453
Na Mg Ni O
4 1 5 10
Direct
0.1046 0.2027 0.2071 Na
0.2919 0.5944 0.5901 Na
0.7081 0.4056 0.4099 Na
0.8954 0.7973 0.7929 Na
0.5000 0.0000 0.0000 Mg
0.0996 0.7024 0.1930 Ni
0.2977 0.0994 0.6059 Ni
0.5000 0.5000 0.0000 Ni
0.7023 0.9006 0.3941 Ni
0.9004 0.2976 0.8069 Ni
0.0045 0.7915 0.4808 O
0.2232 0.6342 0.9180 O
0.2332 0.1844 0.9086 O
0.4226 0.0262 0.3028 O
0.4288 0.5815 0.2697 O
0.5712 0.4185 0.7303 O
0.5774 0.9738 0.6972 O
0.7668 0.8156 0.0914 O
0.7768 0.3658 0.0820 O
0.9955 0.2085 0.5192 O
```